[1]
Compound: NaCaAlSi2O7
Source: the Materials Project database
Functional: PBE-GGA
Structure: relaxed

Unit cell a=7.697 b=7.769 c=9.891 alpha=90.00 beta=90.00 gamma=90.00
Space group P2_12_12_1 (No. 19)
Inequivalent atoms, fractional coordinates:
Na  0.104  0.160  0.493 [4 per cell]
Ca  0.128  0.120  0.947 [4 per cell]
Al  0.242  0.500  0.000 [4 per cell]
Si  0.095  0.849  0.183 [4 per cell]
Si  0.111  0.856  0.683 [4 per cell]
O  0.074  0.412  0.895 [4 per cell]
O  0.078  0.424  0.401 [4 per cell]
O  0.099  0.841  0.343 [4 per cell]
O  0.101  0.853  0.843 [4 per cell]
O  0.162  0.672  0.102 [4 per cell]
O  0.173  0.677  0.602 [4 per cell]
O  0.246  0.997  0.134 [4 per cell]

Computed properties:
magnetic moment: 0.00 μB/cell
E (MP2020): -89.49 eV per formula unit
ΔH_f (0 K): -3.078 eV per atom
offset from the most stable computed form: 183 meV per atom

[2]
Compound: GdMn3
Source: the Materials Project database
Functional: PBE-GGA
Structure: relaxed

Unit cell a=5.9307 b=5.9307 c=4.3707 alpha=90.00 beta=90.00 gamma=120.00
Space group P6_3/mmc (No. 194)
Inequivalent atoms, fractional coordinates:
Gd  0.3333  0.6667  0.2500 [2 per cell]
Mn  0.1380  0.2759  0.7500 [6 per cell]

Computed properties:
magnetic moment: 3.39 μB/cell
ΔH_f (0 K): 1.913 eV per atom

| no. | E (eV/atom) |
| --- | --- |
| 1 | -7.057 |
| 2 | -8.478 |